Here is Mg after structural relaxation from the Materials Project. Energies are from r²SCAN.

```
Mg
1.0
3.2242 0.0003 -0.0004
0.0070 5.1984 -0.0059
-0.0033 -0.0147 14.9517
Mg
10
direct
0.5179 0.0770 0.8302 Mg
0.0178 0.0659 0.9998 Mg
0.0184 0.9122 0.6698 Mg
0.5181 0.4274 0.3478 Mg
0.5178 0.0863 0.1698 Mg
0.5177 0.4169 0.6524 Mg
0.0178 0.5729 0.8484 Mg
0.0185 0.9229 0.3301 Mg
0.0180 0.5817 0.1517 Mg
0.5237 0.9367 0.5000 Mg
```

Computed properties:
For the magnetic moment, the calculation gives 0.0 μB per formula unit. The calculated volume is 25.1 Å³/atom. The formation energy is 0.166 eV per atom.